# 1
# Nb3MoSe8, optimized geometry, DFT PBE-GGA
data_Nb3MoSe8
_chemical_formula_sum 'Nb3 Mo1 Se8'
_symmetry_space_group_name_H-M 'P 1'
_symmetry_Int_Tables_number 1
_symmetry_space_group_name_Hall 'P 1'
_cell_length_a 3.4465
_cell_length_b 5.9747
_cell_length_c 13.6274
_cell_angle_alpha 80.92
_cell_angle_beta 90.00
_cell_angle_gamma 90.00
loop_
_atom_site_label
_atom_site_type_symbol
_atom_site_fract_x
_atom_site_fract_y
_atom_site_fract_z
Nb1 Nb 0.0000 0.6673 0.5011
Nb2 Nb 0.5000 0.6721 0.0010
Nb3 Nb 0.5000 0.1665 0.5016
Mo1 Mo 0.0000 0.1608 0.0013
Se1 Se 0.5000 0.2844 0.1234
Se2 Se 0.5000 0.7867 0.6282
Se3 Se 0.0000 0.7921 0.1268
Se4 Se 0.0000 0.2876 0.6278
Se5 Se 0.0000 0.8830 0.8750
Se6 Se 0.5000 0.8788 0.3742
Se7 Se 0.5000 0.3711 0.8790
Se8 Se 0.0000 0.3781 0.3746
# * calculated volume: 23.1 Å³/atom
# * formation enthalpy at 0 K: -1103 meV/atom
# * mass density: 6.031 g/cm3
# * E: -6.548 eV per atom



# 2
# Bi3P3O14, optimized geometry, DFT PBE-GGA
data_Bi3P3O14
_chemical_formula_sum 'Bi3 P3 O14'
_symmetry_space_group_name_H-M 'P 1'
_symmetry_Int_Tables_number 1
_symmetry_space_group_name_Hall 'P 1'
_cell_length_a 7.1587
_cell_length_b 7.1587
_cell_length_c 6.4907
_cell_angle_alpha 89.49
_cell_angle_beta 89.49
_cell_angle_gamma 59.87
loop_
_atom_site_label
_atom_site_type_symbol
_atom_site_fract_x
_atom_site_fract_y
_atom_site_fract_z
Bi1 Bi 0.5122 0.9964 0.3361
Bi2 Bi 0.4926 0.5074 0.0000
Bi3 Bi 0.0036 0.4878 0.6639
P1 P 0.5536 0.9998 0.8319
P2 P 0.4503 0.5497 0.5000
P3 P 0.0002 0.4464 0.1681
O1 O 0.7525 0.8487 0.6955
O2 O 0.4040 0.7524 0.3717
O3 O 0.8440 0.4027 0.0399
O4 O 0.2476 0.5960 0.6283
O5 O 0.1513 0.2475 0.3045
O6 O 0.5973 0.1560 0.9601
O7 O 0.5005 0.8725 0.9947
O8 O 0.6332 0.4886 0.6600
O9 O 0.8775 0.6335 0.3251
O10 O 0.5114 0.3668 0.3400
O11 O 0.1275 0.4995 0.0053
O12 O 0.3665 0.1225 0.6749
O13 O 0.0538 0.9640 0.9064
O14 O 0.0360 0.9462 0.0936
# * calculated volume: 14.4 Å³/atom
# * formation enthalpy at 0 K: -1849 meV/atom
# * mass density: 5.448 g/cm3
# * size of the total moment: 2.008 μB per cell
# * E: -6.596 eV per atom



# 3
# Ca5Re2O12, optimized geometry, DFT PBE-GGA
data_Ca5Re2O12
_chemical_formula_sum 'Ca30 Re12 O72'
_symmetry_space_group_name_H-M 'P 1'
_symmetry_Int_Tables_number 1
_symmetry_space_group_name_Hall 'P 1'
_cell_length_a 19.2326
_cell_length_b 19.2326
_cell_length_c 19.2326
_cell_angle_alpha 29.08
_cell_angle_beta 29.08
_cell_angle_gamma 29.08
loop_
_atom_site_label
_atom_site_type_symbol
_atom_site_fract_x
_atom_site_fract_y
_atom_site_fract_z
Ca1 Ca 0.4640 0.7994 0.1739
Ca2 Ca 0.1739 0.4640 0.7994
Ca3 Ca 0.2188 0.5080 0.9207
Ca4 Ca 0.8960 0.8960 0.8960
Ca5 Ca 0.0793 0.7812 0.4920
Ca6 Ca 0.4920 0.0793 0.7812
Ca7 Ca 0.0360 0.3261 0.7006
Ca8 Ca 0.3261 0.7006 0.0360
Ca9 Ca 0.1040 0.1040 0.1040
Ca10 Ca 0.4207 0.0080 0.7188
Ca11 Ca 0.9640 0.6739 0.2994
Ca12 Ca 0.8261 0.5360 0.2006
Ca13 Ca 0.7994 0.1739 0.4640
Ca14 Ca 0.2994 0.9640 0.6739
Ca15 Ca 0.7500 0.7500 0.7500
Ca16 Ca 0.2812 0.5793 0.9920
Ca17 Ca 0.6739 0.2994 0.9640
Ca18 Ca 0.9207 0.2188 0.5080
Ca19 Ca 0.7812 0.4920 0.0793
Ca20 Ca 0.0080 0.7188 0.4207
Ca21 Ca 0.5793 0.9920 0.2812
Ca22 Ca 0.2006 0.8261 0.5360
Ca23 Ca 0.9920 0.2812 0.5793
Ca24 Ca 0.3960 0.3960 0.3960
Ca25 Ca 0.6040 0.6040 0.6040
Ca26 Ca 0.5080 0.9207 0.2188
Ca27 Ca 0.7188 0.4207 0.0080
Ca28 Ca 0.7006 0.0360 0.3261
Ca29 Ca 0.2500 0.2500 0.2500
Ca30 Ca 0.5360 0.2006 0.8261
Re1 Re 0.8391 0.8391 0.8391
Re2 Re 0.4159 0.7500 0.0841
Re3 Re 0.9159 0.5841 0.2500
Re4 Re 0.1609 0.1609 0.1609
Re5 Re 0.0000 0.0000 0.0000
Re6 Re 0.7500 0.0841 0.4159
Re7 Re 0.5000 0.5000 0.5000
Re8 Re 0.3391 0.3391 0.3391
Re9 Re 0.5841 0.2500 0.9159
Re10 Re 0.2500 0.9159 0.5841
Re11 Re 0.6609 0.6609 0.6609
Re12 Re 0.0841 0.4159 0.7500
O1 O 0.3522 0.5265 0.6792
O2 O 0.9423 0.3330 0.9729
O3 O 0.9674 0.5860 0.7739
O4 O 0.9735 0.1478 0.8208
O5 O 0.7687 0.7004 0.2091
O6 O 0.2909 0.7996 0.7313
O7 O 0.3208 0.6478 0.4735
O8 O 0.9309 0.9732 0.6778
O9 O 0.3330 0.9729 0.9423
O10 O 0.0265 0.8522 0.1792
O11 O 0.0093 0.7578 0.6980
O12 O 0.9907 0.2422 0.3020
O13 O 0.7422 0.4907 0.8020
O14 O 0.9140 0.5326 0.7261
O15 O 0.8222 0.5268 0.5691
O16 O 0.2739 0.0860 0.4674
O17 O 0.2261 0.0326 0.4140
O18 O 0.4140 0.2261 0.0326
O19 O 0.5691 0.8222 0.5268
O20 O 0.6478 0.4735 0.3208
O21 O 0.5577 0.5271 0.1670
O22 O 0.4423 0.4729 0.8330
O23 O 0.6980 0.0093 0.7578
O24 O 0.0691 0.0268 0.3222
O25 O 0.3222 0.0691 0.0268
O26 O 0.0577 0.6670 0.0271
O27 O 0.9729 0.9423 0.3330
O28 O 0.2004 0.2687 0.7091
O29 O 0.0326 0.4140 0.2261
O30 O 0.6778 0.9309 0.9732
O31 O 0.6792 0.3522 0.5265
O32 O 0.7261 0.9140 0.5326
O33 O 0.9732 0.6778 0.9309
O34 O 0.8020 0.7422 0.4907
O35 O 0.1478 0.8208 0.9735
O36 O 0.4735 0.3208 0.6478
O37 O 0.1792 0.0265 0.8522
O38 O 0.8522 0.1792 0.0265
O39 O 0.7739 0.9674 0.5860
O40 O 0.7996 0.7313 0.2909
O41 O 0.4309 0.1778 0.4732
O42 O 0.2687 0.7091 0.2004
O43 O 0.0271 0.0577 0.6670
O44 O 0.1980 0.2578 0.5093
O45 O 0.5093 0.1980 0.2578
O46 O 0.2313 0.2996 0.7909
O47 O 0.5271 0.1670 0.5577
O48 O 0.1778 0.4732 0.4309
O49 O 0.5265 0.6792 0.3522
O50 O 0.3020 0.9907 0.2422
O51 O 0.4729 0.8330 0.4423
O52 O 0.5326 0.7261 0.9140
O53 O 0.4907 0.8020 0.7422
O54 O 0.7909 0.2313 0.2996
O55 O 0.5860 0.7739 0.9674
O56 O 0.7313 0.2909 0.7996
O57 O 0.8208 0.9735 0.1478
O58 O 0.6670 0.0271 0.0577
O59 O 0.2578 0.5093 0.1980
O60 O 0.0268 0.3222 0.0691
O61 O 0.1670 0.5577 0.5271
O62 O 0.2091 0.7687 0.7004
O63 O 0.4674 0.2739 0.0860
O64 O 0.5268 0.5691 0.8222
O65 O 0.0860 0.4674 0.2739
O66 O 0.2422 0.3020 0.9907
O67 O 0.7004 0.2091 0.7687
O68 O 0.2996 0.7909 0.2313
O69 O 0.7091 0.2004 0.2687
O70 O 0.7578 0.6980 0.0093
O71 O 0.8330 0.4423 0.4729
O72 O 0.4732 0.4309 0.1778
# * calculated volume: 13.0 Å³/atom
# * formation enthalpy at 0 K: -2885 meV/atom
# * mass density: 5.125 g/cm3
# * size of the total moment: 0.078 μB per cell
# * E: -7.414 eV per atom



# 4
# NdAs12Os4, optimized geometry, DFT PBE-GGA
data_NdAs12Os4
_chemical_formula_sum 'Nd1 As12 Os4'
_symmetry_space_group_name_H-M 'P 1'
_symmetry_Int_Tables_number 1
_symmetry_space_group_name_Hall 'P 1'
_cell_length_a 7.4939
_cell_length_b 7.4939
_cell_length_c 7.4939
_cell_angle_alpha 109.47
_cell_angle_beta 109.47
_cell_angle_gamma 109.47
loop_
_atom_site_label
_atom_site_type_symbol
_atom_site_fract_x
_atom_site_fract_y
_atom_site_fract_z
Nd1 Nd 0.0000 0.0000 0.0000
As1 As 0.3467 0.1975 0.8509
As2 As 0.6533 0.8025 0.1491
As3 As 0.6533 0.5042 0.8509
As4 As 0.3467 0.4958 0.1491
As5 As 0.1975 0.8509 0.3467
As6 As 0.8025 0.1491 0.6533
As7 As 0.5042 0.8509 0.6533
As8 As 0.4958 0.1491 0.3467
As9 As 0.8509 0.3467 0.1975
As10 As 0.1491 0.6533 0.8025
As11 As 0.8509 0.6533 0.5042
As12 As 0.1491 0.3467 0.4958
Os1 Os 0.0000 0.0000 0.5000
Os2 Os 0.5000 0.0000 0.0000
Os3 Os 0.0000 0.5000 0.0000
Os4 Os 0.5000 0.5000 0.5000
# * calculated volume: 19.1 Å³/atom
# * formation enthalpy at 0 K: -335 meV/atom
# * mass density: 9.248 g/cm3
# * E: -6.546 eV per atom



# 5
# BaNdEuSbO6, optimized geometry, DFT PBE-GGA
data_BaNdEuSbO6
_chemical_formula_sum 'Ba1 Nd1 Eu1 Sb1 O6'
_symmetry_space_group_name_H-M 'P 1'
_symmetry_Int_Tables_number 1
_symmetry_space_group_name_Hall 'P 1'
_cell_length_a 6.0977
_cell_length_b 6.0977
_cell_length_c 6.0977
_cell_angle_alpha 60.00
_cell_angle_beta 60.00
_cell_angle_gamma 60.00
loop_
_atom_site_label
_atom_site_type_symbol
_atom_site_fract_x
_atom_site_fract_y
_atom_site_fract_z
Ba1 Ba 0.2500 0.2500 0.2500
Nd1 Nd 0.0000 0.0000 0.0000
Eu1 Eu 0.7500 0.7500 0.7500
Sb1 Sb 0.5000 0.5000 0.5000
O1 O 0.7326 0.2674 0.2674
O2 O 0.2674 0.7326 0.7326
O3 O 0.7326 0.2674 0.7326
O4 O 0.2674 0.7326 0.2674
O5 O 0.7326 0.7326 0.2674
O6 O 0.2674 0.2674 0.7326
# * calculated volume: 16.0 Å³/atom
# * formation enthalpy at 0 K: -2943 meV/atom
# * mass density: 6.746 g/cm3
# * size of the total moment: 6.998 μB per cell
# * E: -7.607 eV per atom



Question: Which value of calculated volume does entry 2 give?
Answer: 14.4 Å³/atom